(1)
VASP calculation (PBE with a Hubbard U) on a relaxed structure of Li3FeB5O10.

Output
* final energy: -7.24 eV per atom
* ΔH_f (0 K): -2.61 eV per atom
* magnetic moment: 4.00 μB/f.u.

Cell lengths 6.975, 7.123, 9.426 Å; angles 80.68, 68.92, 61.97 degrees
Sites, in units of the cell vectors:
Li 0.026 0.185 0.464
Li 0.197 0.993 0.834
Li 0.238 0.497 0.250
Li 0.762 0.503 0.750
Li 0.803 0.007 0.166
Li 0.974 0.815 0.536
Fe 0.215 0.525 0.882
Fe 0.785 0.475 0.118
B 0.218 0.169 0.136
B 0.257 0.282 0.603
B 0.307 0.809 0.073
B 0.361 0.755 0.568
B 0.410 0.859 0.291
B 0.590 0.141 0.709
B 0.639 0.245 0.432
B 0.693 0.191 0.927
B 0.743 0.718 0.397
B 0.782 0.831 0.864
O 0.051 0.302 0.621
O 0.132 0.380 0.106
O 0.217 0.753 0.706
O 0.225 0.029 0.043
O 0.272 0.842 0.448
O 0.279 0.698 0.989
O 0.307 0.087 0.254
O 0.344 0.217 0.726
O 0.402 0.316 0.462
O 0.408 0.723 0.187
O 0.592 0.277 0.813
O 0.598 0.684 0.538
O 0.656 0.783 0.274
O 0.693 0.913 0.746
O 0.721 0.302 0.011
O 0.728 0.158 0.552
O 0.775 0.971 0.957
O 0.783 0.247 0.294
O 0.868 0.620 0.894
O 0.949 0.698 0.379

***

(2)
VASP calculation (PBE with a Hubbard U) on a relaxed structure of LiFe2B2O6.

Output
* final energy: -7.11 eV per atom
* ΔH_f (0 K): -2.27 eV per atom
* energy above the most stable polymorph in this dataset: 0.0143 eV per atom
* magnetic moment: 9.00 μB/f.u.

Cell lengths 5.250, 9.110, 11.419 Å; angles 66.84, 77.05, 89.43 degrees
Sites, in units of the cell vectors:
Li 0.000 0.000 0.000
Li 0.227 0.271 0.487
Li 0.460 0.475 0.749
Li 0.718 0.765 0.495
Fe 0.008 0.363 0.967
Fe 0.219 0.578 0.208
Fe 0.249 0.945 0.460
Fe 0.477 0.151 0.715
Fe 0.527 0.846 0.961
Fe 0.715 0.086 0.206
Fe 0.737 0.455 0.459
Fe 0.960 0.669 0.722
B 0.017 0.698 0.966
B 0.224 0.909 0.213
B 0.246 0.619 0.462
B 0.463 0.829 0.701
B 0.505 0.193 0.957
B 0.713 0.407 0.217
B 0.755 0.111 0.464
B 0.980 0.332 0.707
O 0.015 0.107 0.464
O 0.064 0.441 0.750
O 0.086 0.734 0.488
O 0.140 0.509 0.425
O 0.144 0.221 0.684
O 0.241 0.665 0.017
O 0.242 0.859 0.649
O 0.350 0.792 0.181
O 0.352 0.993 0.267
O 0.387 0.330 0.942
O 0.407 0.082 0.915
O 0.451 0.417 0.227
O 0.498 0.617 0.475
O 0.544 0.930 0.752
O 0.599 0.212 0.509
O 0.599 0.702 0.695
O 0.641 0.010 0.418
O 0.726 0.334 0.683
O 0.729 0.157 0.009
O 0.844 0.296 0.174
O 0.853 0.499 0.258
O 0.897 0.834 0.961
O 0.927 0.595 0.920
O 0.984 0.949 0.190

***

(3)
VASP calculation (PBE with a Hubbard U) on a relaxed structure of Li5Fe6B6O18.

Output
* final energy: -6.98 eV per atom
* ΔH_f (0 K): -2.31 eV per atom
* energy above the most stable polymorph in this dataset: 0.0000 eV per atom
* magnetic moment: 25.00 μB/f.u.

Cell lengths 9.060, 9.060, 11.334 Å; angles 111.92, 111.92, 59.80 degrees
Sites, in units of the cell vectors:
Li 0.095 0.581 0.003
Li 0.223 0.738 0.755
Li 0.236 0.764 0.500
Li 0.405 0.901 0.275
Li 0.430 0.918 0.008
Li 0.581 0.095 0.503
Li 0.738 0.223 0.255
Li 0.764 0.236 0.000
Li 0.901 0.405 0.775
Li 0.918 0.430 0.508
Fe 0.072 0.257 0.282
Fe 0.110 0.930 0.043
Fe 0.257 0.072 0.782
Fe 0.259 0.431 0.531
Fe 0.393 0.567 0.284
Fe 0.431 0.259 0.031
Fe 0.567 0.393 0.784
Fe 0.597 0.756 0.538
Fe 0.756 0.597 0.038
Fe 0.762 0.896 0.291
Fe 0.896 0.762 0.791
Fe 0.930 0.110 0.543
B 0.078 0.920 0.297
B 0.091 0.272 0.036
B 0.233 0.420 0.794
B 0.272 0.091 0.536
B 0.420 0.233 0.294
B 0.439 0.603 0.047
B 0.576 0.732 0.793
B 0.603 0.439 0.547
B 0.732 0.576 0.293
B 0.775 0.930 0.043
B 0.920 0.078 0.797
B 0.930 0.775 0.543
O 0.001 0.445 0.025
O 0.015 0.201 0.073
O 0.024 0.912 0.827
O 0.060 0.508 0.802
O 0.109 0.696 0.560
O 0.147 0.990 0.252
O 0.166 0.258 0.508
O 0.166 0.753 0.315
O 0.201 0.015 0.573
O 0.258 0.166 0.008
O 0.260 0.338 0.328
O 0.306 0.495 0.755
O 0.338 0.260 0.828
O 0.356 0.530 0.076
O 0.369 0.781 0.060
O 0.408 0.824 0.809
O 0.445 0.001 0.525
O 0.492 0.599 0.509
O 0.495 0.306 0.255
O 0.508 0.060 0.302
O 0.530 0.356 0.576
O 0.580 0.690 0.344
O 0.599 0.492 0.009
O 0.642 0.783 0.728
O 0.690 0.580 0.844
O 0.696 0.109 0.060
O 0.698 0.847 0.071
O 0.753 0.166 0.815
O 0.781 0.369 0.560
O 0.783 0.642 0.228
O 0.824 0.408 0.309
O 0.827 0.930 0.502
O 0.847 0.698 0.571
O 0.912 0.024 0.327
O 0.930 0.827 0.002
O 0.990 0.147 0.752

***

(4)
VASP calculation (PBE with a Hubbard U) on a relaxed structure of Li6FeB3O9.

Output
* final energy: -6.44 eV per atom
* ΔH_f (0 K): -2.44 eV per atom
* magnetic moment: 5.00 μB/f.u.

Cell lengths 7.032, 16.500, 6.440 Å; angles 90.00, 103.88, 90.00 degrees
Sites, in units of the cell vectors:
Li 0.042 0.031 0.171
Li 0.042 0.469 0.671
Li 0.088 0.706 0.050
Li 0.088 0.794 0.550
Li 0.196 0.538 0.055
Li 0.196 0.962 0.555
Li 0.229 0.207 0.866
Li 0.229 0.293 0.366
Li 0.364 0.054 0.906
Li 0.364 0.446 0.406
Li 0.431 0.004 0.321
Li 0.431 0.496 0.821
Li 0.569 0.504 0.179
Li 0.569 0.996 0.679
Li 0.636 0.554 0.594
Li 0.636 0.946 0.094
Li 0.771 0.707 0.634
Li 0.771 0.793 0.134
Li 0.804 0.038 0.445
Li 0.804 0.462 0.945
Li 0.912 0.206 0.450
Li 0.912 0.294 0.950
Li 0.958 0.531 0.329
Li 0.958 0.969 0.829
Fe 0.425 0.683 0.831
Fe 0.425 0.817 0.331
Fe 0.575 0.183 0.669
Fe 0.575 0.317 0.169
B 0.069 0.618 0.689
B 0.069 0.882 0.189
B 0.220 0.125 0.501
B 0.220 0.375 0.001
B 0.418 0.637 0.344
B 0.418 0.863 0.844
B 0.582 0.137 0.156
B 0.582 0.363 0.656
B 0.780 0.625 0.999
B 0.780 0.875 0.499
B 0.931 0.118 0.811
B 0.931 0.382 0.311
O 0.037 0.094 0.416
O 0.037 0.406 0.916
O 0.104 0.699 0.736
O 0.104 0.801 0.236
O 0.105 0.085 0.924
O 0.105 0.415 0.424
O 0.228 0.568 0.767
O 0.228 0.932 0.267
O 0.258 0.205 0.561
O 0.258 0.295 0.061
O 0.382 0.691 0.175
O 0.382 0.809 0.675
O 0.386 0.076 0.543
O 0.386 0.424 0.043
O 0.398 0.555 0.320
O 0.398 0.945 0.820
O 0.491 0.666 0.551
O 0.491 0.834 0.051
O 0.509 0.166 0.949
O 0.509 0.334 0.449
O 0.602 0.055 0.180
O 0.602 0.445 0.680
O 0.614 0.576 0.957
O 0.614 0.924 0.457
O 0.618 0.191 0.325
O 0.618 0.309 0.825
O 0.742 0.705 0.939
O 0.742 0.795 0.439
O 0.772 0.068 0.733
O 0.772 0.432 0.233
O 0.895 0.585 0.576
O 0.895 0.915 0.076
O 0.896 0.199 0.764
O 0.896 0.301 0.264
O 0.963 0.594 0.084
O 0.963 0.906 0.584